DFT (GGA+U) results for a relaxed structure of Li9Mn7O16.

## Properties
- formation enthalpy at 0 K (eV/atom) = -2.13
- offset from the most stable computed form (kJ per mole of atoms) = 1.6
- M_tot (μB/cell) = 52.00
- energy (eV per atom) = -6.43

a = 9.785 Å, b = 2.879 Å, c = 21.380 Å
α = 90.00°, β = 97.15°, γ = 90.00°
Space group C2/m (No. 12)
One atom of each set of equivalent atoms:
1 Li 0.000 0.000 0.000
2 Li 0.243 0.000 0.183
3 Li 0.248 0.000 0.940
4 Li 0.249 0.000 0.687
5 Li 0.250 0.000 0.437
6 Mn 0.000 0.000 0.500
7 Mn 0.000 0.500 0.373
8 Mn 0.005 0.000 0.755
9 Mn 0.010 0.500 0.883
10 O 0.107 0.500 0.215
11 O 0.109 0.000 0.097
12 O 0.116 0.000 0.599
13 O 0.116 0.500 0.959
14 O 0.117 0.000 0.347
15 O 0.117 0.000 0.849
16 O 0.117 0.500 0.474
17 O 0.118 0.500 0.725